Entry 1:
DFT (meta-GGA r2SCAN) results for crystalline KSb2 at its relaxed geometry.

Cell: 4.280 7.117 7.445 Å, 94.91 106.71 90.00°
Fractional positions:
K1 0.632 0.628 0.263
K2 0.368 0.372 0.737
Sb1 0.314 0.871 0.628
Sb2 0.686 0.129 0.372
Sb3 0.054 0.181 0.109
Sb4 0.946 0.819 0.891

formation energy from the elements = -0.3916 eV per atom

---

Entry 2:
DFT (meta-GGA r2SCAN) results for crystalline K5Sb4 at its relaxed geometry.

Cell: 5.488 6.801 11.085 Å, 74.50 75.67 66.21°
Fractional positions:
K1 0.900 0.809 0.391
K2 0.100 0.191 0.609
K3 0.245 0.343 0.166
K4 0.755 0.657 0.834
K5 0.000 0.000 0.000
Sb1 0.544 0.735 0.177
Sb2 0.456 0.265 0.823
Sb3 0.605 0.398 0.392
Sb4 0.395 0.602 0.608

distance to the lowest polymorph of the same formula = 0 meV/atom
formation energy from the elements = -0.5759 eV per atom

---

Entry 3:
DFT (meta-GGA r2SCAN) results for crystalline KSbSe2 at its relaxed geometry.

Cell: 6.580 6.550 12.456 Å, 89.97 97.35 89.92°
Fractional positions:
K1 0.517 0.738 0.881
K2 0.483 0.262 0.119
K3 0.984 0.737 0.619
K4 0.016 0.263 0.381
Sb1 0.037 0.796 0.121
Sb2 0.963 0.204 0.879
Sb3 0.463 0.795 0.379
Sb4 0.537 0.205 0.621
Se1 0.517 0.186 0.384
Se2 0.483 0.814 0.616
Se3 0.983 0.186 0.115
Se4 0.017 0.814 0.885
Se5 0.932 0.230 0.645
Se6 0.068 0.770 0.355
Se7 0.568 0.231 0.855
Se8 0.432 0.769 0.145

formation energy from the elements = -0.8152 eV per atom

---

Entry 4:
DFT (meta-GGA r2SCAN) results for crystalline KSb2Se4 at its relaxed geometry.

Cell: 6.814 6.965 9.474 Å, 80.39 84.53 76.21°
Fractional positions:
K1 0.803 0.816 0.430
K2 0.197 0.184 0.570
Sb1 0.582 0.395 0.831
Sb2 0.418 0.605 0.169
Sb3 0.847 0.813 0.951
Sb4 0.153 0.187 0.049
Se1 0.209 0.855 0.882
Se2 0.791 0.145 0.118
Se3 0.085 0.483 0.230
Se4 0.915 0.517 0.770
Se5 0.599 0.412 0.409
Se6 0.401 0.588 0.591
Se7 0.689 0.063 0.724
Se8 0.311 0.937 0.276

formation energy from the elements = -0.5743 eV per atom